DFT (PBE with a Hubbard U) results for a relaxed Cr4P3O12 crystal.

Cell: 7.6147 8.2071 9.6793 Å, 108.64 112.73 94.21°
Fractional positions:
Cr 0.0274 0.3036 0.4753
Cr 0.2611 0.4086 0.9058
Cr 0.2663 0.0390 0.9186
Cr 0.2953 0.1103 0.2948
Cr 0.7047 0.8897 0.7052
Cr 0.7337 0.9610 0.0814
Cr 0.7389 0.5914 0.0942
Cr 0.9726 0.6964 0.5247
P 0.0304 0.7596 0.9508
P 0.3127 0.0588 0.6164
P 0.3967 0.6565 0.7481
P 0.6033 0.3435 0.2519
P 0.6873 0.9412 0.3836
P 0.9696 0.2404 0.0492
O 0.0613 0.2197 0.2175
O 0.1130 0.5984 0.9395
O 0.1183 0.2385 0.9738
O 0.1603 0.8852 0.5287
O 0.1891 0.5655 0.6035
O 0.1937 0.9371 0.0630
O 0.2609 0.1732 0.5064
O 0.3004 0.1669 0.7772
O 0.4010 0.8418 0.8578
O 0.4485 0.5367 0.8466
O 0.4532 0.3216 0.3205
O 0.4786 0.9633 0.3477
O 0.5214 0.0367 0.6523
O 0.5468 0.6784 0.6795
O 0.5515 0.4633 0.1534
O 0.5990 0.1582 0.1422
O 0.6996 0.8331 0.2228
O 0.7391 0.8268 0.4936
O 0.8063 0.0629 0.9370
O 0.8109 0.4345 0.3965
O 0.8397 0.1148 0.4713
O 0.8817 0.7615 0.0262
O 0.8870 0.4016 0.0605
O 0.9387 0.7803 0.7825

Values from the calculation:
* volume: 515.1 Å³/cell
* E_form: -2462 meV/atom
* final energy: -7.619 eV/atom
* space-group type: P-1, No. 2

=====

DFT (PBE with a Hubbard U) results for a relaxed CrPO4 crystal.

Cell: 7.3702 7.3702 9.4977 Å, 90.00 90.00 120.00°
Fractional positions:
Cr 0.0644 0.4571 0.0000
Cr 0.3927 0.9356 0.0000
Cr 0.4571 0.0644 0.5000
Cr 0.5429 0.6073 0.0000
Cr 0.6073 0.5429 0.5000
Cr 0.9356 0.3927 0.5000
P 0.0000 0.0000 0.4423
P 0.0000 0.0000 0.9423
P 0.3333 0.6667 0.3048
P 0.3333 0.6667 0.6942
P 0.6667 0.3333 0.1942
P 0.6667 0.3333 0.8048
O 0.0000 0.0000 0.2870
O 0.0000 0.0000 0.7870
O 0.1066 0.5695 0.6462
O 0.1130 0.8813 0.0098
O 0.1187 0.2317 0.0098
O 0.1397 0.4648 0.3530
O 0.2317 0.1187 0.5098
O 0.3251 0.8603 0.3530
O 0.3333 0.6667 0.1315
O 0.3333 0.6667 0.8645
O 0.4305 0.5370 0.6462
O 0.4630 0.8934 0.6462
O 0.4648 0.1397 0.8530
O 0.5352 0.6749 0.3530
O 0.5370 0.4305 0.1462
O 0.5695 0.1066 0.1462
O 0.6667 0.3333 0.3645
O 0.6667 0.3333 0.6315
O 0.6749 0.5352 0.8530
O 0.7683 0.8870 0.0098
O 0.8603 0.3251 0.8530
O 0.8813 0.1130 0.5098
O 0.8870 0.7683 0.5098
O 0.8934 0.4630 0.1462

Values from the calculation:
* volume: 446.8 Å³/cell
* E_form: -2373 meV/atom
* final energy: -7.392 eV/atom
* space-group type: P31c, No. 159

=====

DFT (PBE with a Hubbard U) results for a relaxed CrPO5 crystal.

Cell: 12.6824 5.0425 12.8039 Å, 90.00 119.81 90.00°
Fractional positions:
Cr 0.0631 0.2322 0.3713
Cr 0.0631 0.2678 0.8712
Cr 0.4360 0.7365 0.3072
Cr 0.4360 0.7635 0.8072
Cr 0.5640 0.2365 0.1928
Cr 0.5640 0.2635 0.6928
Cr 0.9369 0.7322 0.1288
Cr 0.9369 0.7678 0.6288
P 0.1560 0.7471 0.0634
P 0.1560 0.7529 0.5634
P 0.3445 0.2382 0.9096
P 0.3445 0.2618 0.4096
P 0.6555 0.7382 0.5904
P 0.6555 0.7618 0.0904
P 0.8440 0.2471 0.4366
P 0.8440 0.2529 0.9366
O 0.0028 0.5166 0.7751
O 0.0028 0.9834 0.2751
O 0.0859 0.6896 0.6297
O 0.0859 0.8104 0.1297
O 0.1241 0.5609 0.4582
O 0.1241 0.9391 0.9582
O 0.1267 0.0418 0.5142
O 0.1267 0.4582 0.0142
O 0.2089 0.2164 0.3593
O 0.2089 0.2836 0.8593
O 0.2923 0.7298 0.6513
O 0.2923 0.7702 0.1513
O 0.3625 0.5513 0.3789
O 0.3625 0.9487 0.8789
O 0.3907 0.0700 0.3477
O 0.3907 0.4300 0.8477
O 0.4108 0.2234 0.5467
O 0.4108 0.2766 0.0467
O 0.4852 0.0212 0.7638
O 0.4852 0.4788 0.2638
O 0.5148 0.5212 0.7362
O 0.5148 0.9788 0.2362
O 0.5892 0.7234 0.9533
O 0.5892 0.7766 0.4533
O 0.6093 0.5700 0.1523
O 0.6093 0.9300 0.6523
O 0.6375 0.0513 0.1211
O 0.6375 0.4487 0.6211
O 0.7077 0.2298 0.8487
O 0.7077 0.2702 0.3487
O 0.7911 0.7164 0.1407
O 0.7911 0.7836 0.6407
O 0.8733 0.5418 0.9858
O 0.8733 0.9582 0.4858
O 0.8759 0.0609 0.0418
O 0.8759 0.4391 0.5418
O 0.9141 0.1896 0.8703
O 0.9141 0.3104 0.3703
O 0.9972 0.0166 0.7249
O 0.9972 0.4834 0.2249

Values from the calculation:
* volume: 710.5 Å³/cell
* E_form: -2125 meV/atom
* final energy: -7.035 eV/atom
* space-group type: P2_1/c, No. 14

=====

DFT (PBE with a Hubbard U) results for a relaxed CrP2O7 crystal.

Cell: 6.3359 6.4153 6.9050 Å, 89.09 66.26 85.42°
Fractional positions:
Cr 0.0981 0.1432 0.2930
Cr 0.9019 0.8568 0.7070
P 0.2280 0.6370 0.2514
P 0.3370 0.8881 0.8497
P 0.6630 0.1119 0.1503
P 0.7720 0.3630 0.7486
O 0.0618 0.8313 0.3766
O 0.0927 0.4444 0.2773
O 0.2079 0.8522 0.7111
O 0.2410 0.0867 0.9882
O 0.3051 0.6943 0.0075
O 0.4060 0.1125 0.2944
O 0.4312 0.6009 0.3130
O 0.5688 0.3991 0.6870
O 0.5940 0.8875 0.7056
O 0.6949 0.3057 0.9925
O 0.7590 0.9133 0.0118
O 0.7921 0.1478 0.2889
O 0.9073 0.5556 0.7227
O 0.9382 0.1687 0.6234

Values from the calculation:
* volume: 256.0 Å³/cell
* E_form: -2389 meV/atom
* final energy: -7.220 eV/atom
* space-group type: P-1, No. 2

=====

DFT (PBE with a Hubbard U) results for a relaxed CrP3O9 crystal.

Cell: 6.3252 15.4899 8.4485 Å, 90.00 105.97 90.00°
Fractional positions:
Cr 0.1185 0.1368 0.3754
Cr 0.1185 0.3632 0.8754
Cr 0.8815 0.6368 0.1246
Cr 0.8815 0.8632 0.6246
P 0.1508 0.0441 0.7218
P 0.1508 0.4559 0.2218
P 0.2077 0.1609 0.0158
P 0.2077 0.3391 0.5158
P 0.4124 0.6126 0.2093
P 0.4124 0.8874 0.7093
P 0.5876 0.1126 0.2907
P 0.5876 0.3874 0.7907
P 0.7923 0.6609 0.4842
P 0.7923 0.8391 0.9842
P 0.8492 0.5441 0.7782
P 0.8492 0.9559 0.2782
O 0.0520 0.0109 0.3371
O 0.0520 0.4891 0.8371
O 0.0675 0.1532 0.1325
O 0.0675 0.3468 0.6325
O 0.1637 0.0747 0.9050
O 0.1637 0.4253 0.4050
O 0.1739 0.1210 0.6197
O 0.1739 0.3790 0.1197
O 0.1843 0.2373 0.9053
O 0.1843 0.2627 0.4053
O 0.1988 0.6595 0.1458
O 0.1988 0.8405 0.6458
O 0.3701 0.5141 0.2552
O 0.3701 0.9859 0.7552
O 0.4358 0.1122 0.3992
O 0.4358 0.3878 0.8992
O 0.4654 0.1517 0.1123
O 0.4654 0.3483 0.6123
O 0.5346 0.6517 0.3877
O 0.5346 0.8483 0.8877
O 0.5642 0.6122 0.1008
O 0.5642 0.8878 0.6008
O 0.6299 0.0141 0.2448
O 0.6299 0.4859 0.7448
O 0.8012 0.1595 0.3542
O 0.8012 0.3405 0.8542
O 0.8157 0.7373 0.5947
O 0.8157 0.7627 0.0947
O 0.8261 0.6210 0.8803
O 0.8261 0.8790 0.3803
O 0.8363 0.5747 0.5950
O 0.8363 0.9253 0.0950
O 0.9325 0.6532 0.3675
O 0.9325 0.8468 0.8675
O 0.9480 0.5109 0.1629
O 0.9480 0.9891 0.6629

Values from the calculation:
* volume: 795.8 Å³/cell
* E_form: -2620 meV/atom
* final energy: -7.408 eV/atom
* space-group type: P2_1/c, No. 14

=====

DFT (PBE with a Hubbard U) results for a relaxed CrP4O12 crystal.

Cell: 7.1840 7.1840 10.0840 Å, 113.26 113.26 70.22°
Fractional positions:
Cr 0.0539 0.9461 0.7500
Cr 0.9461 0.0539 0.2500
P 0.2464 0.7342 0.0187
P 0.2658 0.7536 0.4813
P 0.2876 0.3115 0.8067
P 0.3115 0.2876 0.3067
P 0.6885 0.7124 0.6933
P 0.7124 0.6885 0.1933
P 0.7342 0.2464 0.5187
P 0.7536 0.2658 0.9813
O 0.0841 0.8490 0.0972
O 0.1177 0.2495 0.3095
O 0.1510 0.9159 0.4028
O 0.1904 0.3497 0.6572
O 0.1945 0.7403 0.5980
O 0.2150 0.4978 0.9426
O 0.2495 0.1177 0.8095
O 0.2597 0.8055 0.9020
O 0.2920 0.5332 0.3551
O 0.3497 0.1904 0.1572
O 0.4668 0.7080 0.1449
O 0.4978 0.2150 0.4426
O 0.5022 0.7850 0.5574
O 0.5332 0.2920 0.8551
O 0.6503 0.8096 0.8428
O 0.7080 0.4668 0.6449
O 0.7403 0.1945 0.0980
O 0.7505 0.8823 0.1905
O 0.7850 0.5022 0.0574
O 0.8055 0.2597 0.4020
O 0.8096 0.6503 0.3428
O 0.8490 0.0841 0.5972
O 0.8823 0.7505 0.6905
O 0.9159 0.1510 0.9028

Values from the calculation:
* volume: 428.9 Å³/cell
* E_form: -2430 meV/atom
* final energy: -7.161 eV/atom
* space-group type: C2/c, No. 15

=====

DFT (PBE with a Hubbard U) results for a relaxed Cr2P3O12 crystal.

Cell: 12.0156 8.5735 8.5851 Å, 90.00 90.00 90.00°
Fractional positions:
Cr 0.1180 0.2486 0.0344
Cr 0.1180 0.7514 0.5344
Cr 0.3820 0.2514 0.5344
Cr 0.3820 0.7486 0.0344
Cr 0.6180 0.2514 0.9656
Cr 0.6180 0.7486 0.4656
Cr 0.8820 0.2486 0.4656
Cr 0.8820 0.7514 0.9656
P 0.0000 0.4667 0.7500
P 0.0000 0.5333 0.2500
P 0.1450 0.1073 0.3906
P 0.1450 0.8927 0.8906
P 0.3550 0.3927 0.8906
P 0.3550 0.6073 0.3906
P 0.5000 0.0333 0.2500
P 0.5000 0.9667 0.7500
P 0.6450 0.3927 0.6094
P 0.6450 0.6073 0.1094
P 0.8550 0.1073 0.1094
P 0.8550 0.8927 0.6094
O 0.0295 0.1630 0.4378
O 0.0295 0.8370 0.9378
O 0.0748 0.3583 0.8470
O 0.0748 0.6417 0.3470
O 0.0781 0.4357 0.1479
O 0.0781 0.5643 0.6479
O 0.1567 0.0719 0.9063
O 0.1567 0.9281 0.4063
O 0.1727 0.1478 0.2203
O 0.1727 0.8522 0.7203
O 0.2305 0.1765 0.5053
O 0.2305 0.8235 0.0053
O 0.2695 0.3235 0.0053
O 0.2695 0.6765 0.5053
O 0.3273 0.3522 0.7203
O 0.3273 0.6478 0.2203
O 0.3433 0.4281 0.4063
O 0.3433 0.5719 0.9063
O 0.4219 0.0643 0.6479
O 0.4219 0.9357 0.1479
O 0.4252 0.1417 0.3470
O 0.4252 0.8583 0.8470
O 0.4705 0.3370 0.9378
O 0.4705 0.6630 0.4378
O 0.5295 0.3370 0.5622
O 0.5295 0.6630 0.0622
O 0.5748 0.1417 0.1530
O 0.5748 0.8583 0.6530
O 0.5781 0.0643 0.8521
O 0.5781 0.9357 0.3521
O 0.6567 0.4281 0.0937
O 0.6567 0.5719 0.5937
O 0.6727 0.3522 0.7797
O 0.6727 0.6478 0.2797
O 0.7305 0.3235 0.4947
O 0.7305 0.6765 0.9947
O 0.7695 0.1765 0.9947
O 0.7695 0.8235 0.4947
O 0.8273 0.1478 0.2797
O 0.8273 0.8522 0.7797
O 0.8433 0.0719 0.5937
O 0.8433 0.9281 0.0937
O 0.9219 0.4357 0.3521
O 0.9219 0.5643 0.8521
O 0.9252 0.3583 0.6530
O 0.9252 0.6417 0.1530
O 0.9705 0.1630 0.0622
O 0.9705 0.8370 0.5622

Values from the calculation:
* volume: 884.4 Å³/cell
* E_form: -2314 meV/atom
* final energy: -7.177 eV/atom
* space-group type: Pbcn, No. 60

=====

DFT (PBE with a Hubbard U) results for a relaxed Cr2P3O10 crystal.

Cell: 4.7212 8.5707 9.0983 Å, 90.00 99.86 90.00°
Fractional positions:
Cr 0.0509 0.0667 0.3241
Cr 0.0509 0.4333 0.3241
Cr 0.9491 0.5667 0.6759
Cr 0.9491 0.9333 0.6759
P 0.3265 0.2500 0.8173
P 0.3999 0.7500 0.4591
P 0.4703 0.2500 0.1437
P 0.5297 0.7500 0.8563
P 0.6001 0.2500 0.5409
P 0.6735 0.7500 0.1827
O 0.1616 0.1005 0.7971
O 0.1616 0.3995 0.7971
O 0.2146 0.7500 0.7660
O 0.2339 0.5996 0.4821
O 0.2339 0.9004 0.4821
O 0.2938 0.2500 0.4445
O 0.3152 0.0999 0.1687
O 0.3152 0.4001 0.1687
O 0.4325 0.7500 0.2881
O 0.4666 0.7500 0.0261
O 0.5334 0.2500 0.9739
O 0.5675 0.2500 0.7119
O 0.6848 0.5999 0.8313
O 0.6848 0.9001 0.8313
O 0.7062 0.7500 0.5555
O 0.7661 0.0996 0.5179
O 0.7661 0.4004 0.5179
O 0.7854 0.2500 0.2340
O 0.8384 0.6005 0.2029
O 0.8384 0.8995 0.2029

Values from the calculation:
* volume: 362.7 Å³/cell
* E_form: -2523 meV/atom
* final energy: -7.467 eV/atom
* space-group type: P2_1/m, No. 11